P | ## LiTi2S4 (PBE-GGA)

Data for a relaxed structure of LiTi2S4.

Unit cell a=13.761 b=3.423 c=5.910 alpha=90.00 beta=114.59 gamma=90.00
Fractional positions:
1 Li 0.000 0.000 0.000
2 Li 0.500 0.500 0.000
3 Ti 0.246 0.500 0.739
4 Ti 0.254 0.000 0.261
5 Ti 0.746 0.000 0.739
6 Ti 0.754 0.500 0.261
7 S 0.132 0.000 0.467
8 S 0.136 0.500 0.974
9 S 0.364 0.000 0.026
10 S 0.368 0.500 0.533
11 S 0.632 0.500 0.467
12 S 0.636 0.000 0.974
13 S 0.864 0.500 0.026
14 S 0.868 0.000 0.533


Q | ## LiTi2S4 (PBE-GGA)

Data for a relaxed structure of LiTi2S4.

Unit cell a=7.190 b=7.190 c=7.190 alpha=60.00 beta=60.00 gamma=60.00
Fractional positions:
1 Li 0.125 0.125 0.125
2 Li 0.875 0.875 0.875
3 Ti 0.000 0.500 0.500
4 Ti 0.500 0.000 0.500
5 Ti 0.500 0.500 0.000
6 Ti 0.500 0.500 0.500
7 S 0.259 0.259 0.259
8 S 0.259 0.259 0.724
9 S 0.259 0.724 0.259
10 S 0.276 0.741 0.741
11 S 0.724 0.259 0.259
12 S 0.741 0.276 0.741
13 S 0.741 0.741 0.276
14 S 0.741 0.741 0.741


We find P to be the most stable, with the next structure 43 meV/atom higher.


P | ## LiYSi (PBE-GGA)

Data for a relaxed structure of LiYSi.

Unit cell a=6.658 b=6.658 c=6.658 alpha=90.00 beta=90.00 gamma=90.00
Fractional positions:
1 Li 0.000 0.000 0.000
2 Li 0.000 0.500 0.500
3 Li 0.500 0.000 0.500
4 Li 0.500 0.500 0.000
5 Y 0.250 0.250 0.250
6 Y 0.250 0.750 0.750
7 Y 0.750 0.250 0.750
8 Y 0.750 0.750 0.250
9 Si 0.000 0.000 0.500
10 Si 0.000 0.500 0.000
11 Si 0.500 0.000 0.000
12 Si 0.500 0.500 0.500


Q | ## LiYSi (PBE-GGA)

Data for a relaxed structure of LiYSi.

Unit cell a=7.015 b=7.015 c=4.240 alpha=90.00 beta=90.00 gamma=120.00
Fractional positions:
1 Li 0.000 0.233 0.000
2 Li 0.233 0.000 0.000
3 Li 0.767 0.767 0.000
4 Y 0.000 0.576 0.500
5 Y 0.424 0.424 0.500
6 Y 0.576 0.000 0.500
7 Si 0.000 0.000 0.500
8 Si 0.333 0.667 0.000
9 Si 0.667 0.333 0.000


We find Q to be the most stable, with the next structure 672 meV/atom higher.


P | ## Li3Sm (PBE-GGA)

Data for a relaxed structure of Li3Sm.

Unit cell a=6.675 b=6.675 c=5.078 alpha=90.00 beta=90.00 gamma=120.00
Fractional positions:
1 Li 0.148 0.297 0.250
2 Li 0.148 0.852 0.250
3 Li 0.297 0.148 0.750
4 Li 0.703 0.852 0.250
5 Li 0.852 0.148 0.750
6 Li 0.852 0.703 0.750
7 Sm 0.333 0.667 0.750
8 Sm 0.667 0.333 0.250


Q | ## Li3Sm (PBE-GGA)

Data for a relaxed structure of Li3Sm.

Unit cell a=7.261 b=7.261 c=7.261 alpha=90.00 beta=90.00 gamma=90.00
Fractional positions:
1 Li 0.000 0.000 0.000
2 Li 0.000 0.500 0.500
3 Li 0.250 0.250 0.250
4 Li 0.250 0.250 0.750
5 Li 0.250 0.750 0.250
6 Li 0.250 0.750 0.750
7 Li 0.500 0.000 0.500
8 Li 0.500 0.500 0.000
9 Li 0.750 0.250 0.250
10 Li 0.750 0.250 0.750
11 Li 0.750 0.750 0.250
12 Li 0.750 0.750 0.750
13 Sm 0.000 0.000 0.500
14 Sm 0.000 0.500 0.000
15 Sm 0.500 0.000 0.000
16 Sm 0.500 0.500 0.500


We find P to be the most stable, with the next structure 6 meV/atom higher.


P | ## LiTe3 (PBE-GGA)

Data for a relaxed structure of LiTe3.

Unit cell a=6.183 b=6.183 c=7.704 alpha=90.00 beta=90.00 gamma=120.00
Fractional positions:
1 Li 0.333 0.667 0.250
2 Li 0.667 0.333 0.750
3 Te 0.167 0.334 0.750
4 Te 0.167 0.833 0.750
5 Te 0.334 0.167 0.250
6 Te 0.666 0.833 0.750
7 Te 0.833 0.167 0.250
8 Te 0.833 0.666 0.250


Q | ## LiTe3 (PBE-GGA)

Data for a relaxed structure of LiTe3.

Unit cell a=8.778 b=8.778 c=21.512 alpha=90.00 beta=90.00 gamma=120.00
Fractional positions:
1 Li 0.000 0.000 0.000
2 Li 0.000 0.000 0.250
3 Li 0.000 0.000 0.500
4 Li 0.000 0.000 0.750
5 Li 0.333 0.667 0.165
6 Li 0.333 0.667 0.418
7 Li 0.333 0.667 0.665
8 Li 0.333 0.667 0.918
9 Li 0.667 0.333 0.082
10 Li 0.667 0.333 0.335
11 Li 0.667 0.333 0.582
12 Li 0.667 0.333 0.835
13 Te 0.000 0.478 0.250
14 Te 0.000 0.500 0.000
15 Te 0.000 0.500 0.500
16 Te 0.000 0.522 0.750
17 Te 0.147 0.330 0.334
18 Te 0.147 0.817 0.834
19 Te 0.159 0.337 0.083
20 Te 0.159 0.823 0.583
21 Te 0.177 0.337 0.583
22 Te 0.177 0.841 0.083
23 Te 0.183 0.330 0.834
24 Te 0.183 0.853 0.334
25 Te 0.330 0.147 0.166
26 Te 0.330 0.183 0.666
27 Te 0.337 0.159 0.417
28 Te 0.337 0.177 0.917
29 Te 0.478 0.000 0.250
30 Te 0.478 0.478 0.750
31 Te 0.500 0.000 0.000
32 Te 0.500 0.000 0.500
33 Te 0.500 0.500 0.000
34 Te 0.500 0.500 0.500
35 Te 0.522 0.000 0.750
36 Te 0.522 0.522 0.250
37 Te 0.663 0.823 0.083
38 Te 0.663 0.841 0.583
39 Te 0.670 0.817 0.334
40 Te 0.670 0.853 0.834
41 Te 0.817 0.147 0.666
42 Te 0.817 0.670 0.166
43 Te 0.823 0.159 0.917
44 Te 0.823 0.663 0.417
45 Te 0.841 0.177 0.417
46 Te 0.841 0.663 0.917
47 Te 0.853 0.183 0.166
48 Te 0.853 0.670 0.666


We find Q to be the most stable, with the next structure 247 meV/atom higher.


P | ## Lu (PBE-GGA)

Data for a relaxed structure of Lu.

Unit cell a=3.908 b=3.908 c=3.908 alpha=90.00 beta=90.00 gamma=90.00
Fractional positions:
1 Lu 0.000 0.000 0.000
2 Lu 0.500 0.500 0.500


Q | ## Lu (PBE-GGA)

Data for a relaxed structure of Lu.

Unit cell a=3.487 b=3.487 c=25.030 alpha=90.00 beta=90.00 gamma=120.00
Fractional positions:
1 Lu 0.000 0.000 0.000
2 Lu 0.000 0.000 0.222
3 Lu 0.000 0.000 0.778
4 Lu 0.333 0.667 0.445
5 Lu 0.333 0.667 0.667
6 Lu 0.333 0.667 0.889
7 Lu 0.667 0.333 0.111
8 Lu 0.667 0.333 0.333
9 Lu 0.667 0.333 0.555


We find Q to be the most stable, with the next structure 131 meV/atom higher.


P | ## NaLuO2 (PBE-GGA)

Data for a relaxed structure of NaLuO2.

Unit cell a=4.534 b=4.534 c=10.121 alpha=90.00 beta=90.00 gamma=90.00
Fractional positions:
1 Na 0.000 0.250 0.375
2 Na 0.000 0.750 0.625
3 Na 0.500 0.250 0.125
4 Na 0.500 0.750 0.875
5 Lu 0.000 0.250 0.875
6 Lu 0.000 0.750 0.125
7 Lu 0.500 0.250 0.625
8 Lu 0.500 0.750 0.375
9 O 0.000 0.250 0.095
10 O 0.000 0.250 0.655
11 O 0.000 0.750 0.345
12 O 0.000 0.750 0.905
13 O 0.500 0.250 0.405
14 O 0.500 0.250 0.845
15 O 0.500 0.750 0.155
16 O 0.500 0.750 0.595


Q | ## NaLuO2 (PBE-GGA)

Data for a relaxed structure of NaLuO2.

Unit cell a=7.286 b=7.286 c=5.823 alpha=104.11 beta=104.11 gamma=126.36
Fractional positions:
1 Na 0.056 0.944 0.750
2 Na 0.181 0.819 0.250
3 Na 0.819 0.181 0.750
4 Na 0.944 0.056 0.250
5 Lu 0.307 0.693 0.750
6 Lu 0.433 0.567 0.250
7 Lu 0.567 0.433 0.750
8 Lu 0.693 0.307 0.250
9 O 0.083 0.459 0.292
10 O 0.235 0.362 0.795
11 O 0.362 0.235 0.295
12 O 0.459 0.083 0.792
13 O 0.541 0.917 0.208
14 O 0.638 0.765 0.705
15 O 0.765 0.638 0.205
16 O 0.917 0.541 0.708


We find Q to be the most stable, with the next structure 20 meV/atom higher.


P | ## Lu2P4O13 (PBE-GGA)

Data for a relaxed structure of Lu2P4O13.

Unit cell a=8.744 b=9.497 c=13.834 alpha=90.00 beta=106.12 gamma=90.00
Fractional positions:
1 Lu 0.028 0.003 0.221
2 Lu 0.028 0.497 0.721
3 Lu 0.446 0.501 0.738
4 Lu 0.446 0.999 0.238
5 Lu 0.554 0.001 0.762
6 Lu 0.554 0.499 0.262
7 Lu 0.972 0.503 0.279
8 Lu 0.972 0.997 0.779
9 P 0.144 0.240 0.436
10 P 0.144 0.260 0.936
11 P 0.217 0.205 0.658
12 P 0.217 0.295 0.158
13 P 0.287 0.730 0.346
14 P 0.287 0.770 0.846
15 P 0.496 0.250 0.439
16 P 0.496 0.250 0.939
17 P 0.504 0.750 0.061
18 P 0.504 0.750 0.561
19 P 0.713 0.230 0.154
20 P 0.713 0.270 0.654
21 P 0.783 0.705 0.842
22 P 0.783 0.795 0.342
23 P 0.856 0.740 0.064
24 P 0.856 0.760 0.564
25 O 0.039 0.132 0.912
26 O 0.039 0.368 0.412
27 O 0.110 0.121 0.362
28 O 0.110 0.379 0.862
29 O 0.119 0.128 0.716
30 O 0.119 0.372 0.216
31 O 0.128 0.175 0.540
32 O 0.128 0.325 0.040
33 O 0.137 0.663 0.359
34 O 0.137 0.837 0.859
35 O 0.220 0.132 0.173
36 O 0.220 0.368 0.673
37 O 0.252 0.634 0.779
38 O 0.252 0.866 0.279
39 O 0.328 0.205 0.961
40 O 0.328 0.295 0.461
41 O 0.385 0.147 0.676
42 O 0.385 0.353 0.176
43 O 0.390 0.627 0.309
44 O 0.390 0.873 0.809
45 O 0.392 0.706 0.953
46 O 0.392 0.794 0.453
47 O 0.436 0.624 0.600
48 O 0.436 0.876 0.100
49 O 0.470 0.119 0.375
50 O 0.470 0.381 0.875
51 O 0.530 0.619 0.125
52 O 0.530 0.881 0.625
53 O 0.564 0.124 0.900
54 O 0.564 0.376 0.400
55 O 0.608 0.206 0.547
56 O 0.608 0.294 0.047
57 O 0.610 0.127 0.191
58 O 0.610 0.373 0.691
59 O 0.615 0.647 0.824
60 O 0.615 0.853 0.324
61 O 0.672 0.705 0.539
62 O 0.672 0.795 0.039
63 O 0.748 0.134 0.721
64 O 0.748 0.366 0.221
65 O 0.780 0.632 0.327
66 O 0.780 0.868 0.827
67 O 0.863 0.163 0.141
68 O 0.863 0.337 0.641
69 O 0.872 0.675 0.960
70 O 0.872 0.825 0.460
71 O 0.881 0.628 0.784
72 O 0.881 0.872 0.284
73 O 0.890 0.621 0.138
74 O 0.890 0.879 0.638
75 O 0.961 0.632 0.588
76 O 0.961 0.868 0.088


Q | ## Lu2P4O13 (PBE-GGA)

Data for a relaxed structure of Lu2P4O13.

Unit cell a=8.594 b=9.660 c=13.947 alpha=90.00 beta=104.83 gamma=90.00
Fractional positions:
1 Lu 0.212 0.003 0.012
2 Lu 0.212 0.497 0.512
3 Lu 0.285 0.001 0.488
4 Lu 0.285 0.499 0.988
5 Lu 0.715 0.501 0.012
6 Lu 0.715 0.999 0.512
7 Lu 0.788 0.503 0.488
8 Lu 0.788 0.997 0.988
9 P 0.031 0.218 0.595
10 P 0.031 0.282 0.095
11 P 0.116 0.245 0.315
12 P 0.116 0.255 0.815
13 P 0.238 0.731 0.183
14 P 0.238 0.769 0.683
15 P 0.460 0.718 0.402
16 P 0.460 0.782 0.902
17 P 0.540 0.218 0.098
18 P 0.540 0.282 0.598
19 P 0.762 0.231 0.317
20 P 0.762 0.269 0.817
21 P 0.884 0.745 0.185
22 P 0.884 0.755 0.685
23 P 0.969 0.718 0.905
24 P 0.969 0.782 0.405
25 O 0.011 0.129 0.058
26 O 0.011 0.371 0.558
27 O 0.068 0.689 0.205
28 O 0.068 0.811 0.705
29 O 0.127 0.136 0.538
30 O 0.127 0.364 0.038
31 O 0.127 0.651 0.902
32 O 0.127 0.849 0.402
33 O 0.140 0.222 0.708
34 O 0.140 0.278 0.208
35 O 0.141 0.124 0.875
36 O 0.141 0.376 0.375
37 O 0.229 0.127 0.355
38 O 0.229 0.373 0.855
39 O 0.229 0.625 0.642
40 O 0.229 0.875 0.142
41 O 0.284 0.618 0.121
42 O 0.284 0.882 0.621
43 O 0.360 0.632 0.454
44 O 0.360 0.868 0.954
45 O 0.363 0.729 0.287
46 O 0.363 0.771 0.787
47 O 0.380 0.151 0.096
48 O 0.380 0.349 0.596
49 O 0.483 0.629 0.941
50 O 0.483 0.871 0.441
51 O 0.517 0.129 0.559
52 O 0.517 0.371 0.059
53 O 0.620 0.651 0.404
54 O 0.620 0.849 0.904
55 O 0.637 0.229 0.213
56 O 0.637 0.271 0.713
57 O 0.640 0.132 0.046
58 O 0.640 0.368 0.546
59 O 0.716 0.118 0.379
60 O 0.716 0.382 0.879
61 O 0.771 0.125 0.858
62 O 0.771 0.375 0.358
63 O 0.771 0.627 0.145
64 O 0.771 0.873 0.645
65 O 0.859 0.624 0.625
66 O 0.859 0.876 0.125
67 O 0.860 0.722 0.792
68 O 0.860 0.778 0.292
69 O 0.873 0.151 0.598
70 O 0.873 0.349 0.098
71 O 0.873 0.636 0.962
72 O 0.873 0.864 0.462
73 O 0.932 0.189 0.295
74 O 0.932 0.311 0.795
75 O 0.989 0.629 0.442
76 O 0.989 0.871 0.942


R | ## Lu2P4O13 (PBE-GGA)

Data for a relaxed structure of Lu2P4O13.

Unit cell a=6.837 b=6.837 c=12.853 alpha=104.18 beta=104.18 gamma=58.76
Fractional positions:
1 Lu 0.195 0.200 0.052
2 Lu 0.200 0.195 0.552
3 Lu 0.800 0.805 0.448
4 Lu 0.805 0.800 0.948
5 P 0.260 0.273 0.340
6 P 0.273 0.260 0.840
7 P 0.337 0.638 0.133
8 P 0.362 0.663 0.367
9 P 0.638 0.337 0.633
10 P 0.663 0.362 0.867
11 P 0.727 0.740 0.160
12 P 0.740 0.727 0.660
13 O 0.060 0.427 0.407
14 O 0.073 0.425 0.906
15 O 0.170 0.817 0.057
16 O 0.183 0.830 0.443
17 O 0.193 0.205 0.222
18 O 0.205 0.193 0.722
19 O 0.252 0.748 0.250
20 O 0.377 0.395 0.103
21 O 0.395 0.377 0.603
22 O 0.400 0.407 0.347
23 O 0.407 0.400 0.847
24 O 0.425 0.073 0.406
25 O 0.427 0.060 0.907
26 O 0.573 0.940 0.093
27 O 0.575 0.927 0.594
28 O 0.593 0.600 0.153
29 O 0.600 0.593 0.653
30 O 0.605 0.623 0.397
31 O 0.623 0.605 0.897
32 O 0.748 0.252 0.750
33 O 0.795 0.807 0.278
34 O 0.807 0.795 0.778
35 O 0.817 0.170 0.557
36 O 0.830 0.183 0.943
37 O 0.927 0.575 0.094
38 O 0.940 0.573 0.593


We find P to be the most stable, with the next structure 7 meV/atom higher.